Here is a geometry-optimized Cs2GaFeS4 structure from Materials Project. Energies are from PBE.

Output
ΔH_f (0 K) (eV/atom): -1.133
M_tot (μB per formula unit): 5.001
Energy (eV/atom): -4.611

Lattice parameters (Å, degrees): 7.574 12.454 5.783 90.00 111.98 90.00
Space group C2 (No. 5)
Asymmetric unit:
Cs 0.000 0.000 0.000
Cs 0.000 0.290 0.500
Ga 0.000 0.648 0.500
Fe 0.000 0.642 0.000
S 0.182 0.545 0.343
S 0.182 0.745 0.845


Here is a geometry-optimized Cs4Ga3FeS8 structure from Materials Project. Energies are from PBE.

Output
ΔH_f (0 K) (eV/atom): -1.218
M_tot (μB per formula unit): 4.999
Energy (eV/atom): -4.355

Lattice parameters (Å, degrees): 5.871 7.330 12.445 87.77 82.74 78.70
Space group P1 (No. 1)
Asymmetric unit:
Cs 0.000 0.000 0.000
Cs 0.145 0.064 0.356
Cs 0.499 0.499 0.501
Cs 0.645 0.564 0.855
Ga 0.321 0.036 0.679
Ga 0.324 0.528 0.176
Ga 0.821 0.536 0.179
Fe 0.824 0.027 0.676
S 0.019 0.269 0.637
S 0.026 0.590 0.317
S 0.118 0.474 0.039
S 0.124 0.794 0.718
S 0.519 0.770 0.137
S 0.527 0.090 0.817
S 0.619 0.973 0.539
S 0.625 0.294 0.218


Here is a geometry-optimized CsPr6FeI10 structure from Materials Project. Energies are from PBE.

Output
ΔH_f (0 K) (eV/atom): -1.434
M_tot (μB per formula unit): 0.909
Energy (eV/atom): -4.184

Lattice parameters (Å, degrees): 15.660 13.893 14.313 90.00 90.00 90.00
Space group Pnma (No. 62)
Asymmetric unit:
Cs 0.084 0.250 0.013
Pr 0.008 0.750 0.607
Pr 0.058 0.108 0.617
Pr 0.203 0.109 0.384
Pr 0.231 0.750 0.104
Fe 0.129 0.250 0.499
I 0.037 0.750 0.237
I 0.038 0.076 0.252
I 0.124 0.582 0.999
I 0.125 0.584 0.499
I 0.212 0.091 0.762
I 0.218 0.750 0.726


Q: Which of these has the lowest energy?
A: Cs2GaFeS4


What did the third record say?
Here is a geometry-optimized CsPr6FeI10 structure from Materials Project. Energies are from PBE.

Output
ΔH_f (0 K) (eV/atom): -1.434
M_tot (μB per formula unit): 0.909
Energy (eV/atom): -4.184

Lattice parameters (Å, degrees): 15.660 13.893 14.313 90.00 90.00 90.00
Space group Pnma (No. 62)
Asymmetric unit:
Cs 0.084 0.250 0.013
Pr 0.008 0.750 0.607
Pr 0.058 0.108 0.617
Pr 0.203 0.109 0.384
Pr 0.231 0.750 0.104
Fe 0.129 0.250 0.499
I 0.037 0.750 0.237
I 0.038 0.076 0.252
I 0.124 0.582 0.999
I 0.125 0.584 0.499
I 0.212 0.091 0.762
I 0.218 0.750 0.726


Q: Among the records above, which one has the highest M_tot?
A: Cs2GaFeS4


What did the second record say?
Here is a geometry-optimized Cs4Ga3FeS8 structure from Materials Project. Energies are from PBE.

Output
ΔH_f (0 K) (eV/atom): -1.218
M_tot (μB per formula unit): 4.999
Energy (eV/atom): -4.355

Lattice parameters (Å, degrees): 5.871 7.330 12.445 87.77 82.74 78.70
Space group P1 (No. 1)
Asymmetric unit:
Cs 0.000 0.000 0.000
Cs 0.145 0.064 0.356
Cs 0.499 0.499 0.501
Cs 0.645 0.564 0.855
Ga 0.321 0.036 0.679
Ga 0.324 0.528 0.176
Ga 0.821 0.536 0.179
Fe 0.824 0.027 0.676
S 0.019 0.269 0.637
S 0.026 0.590 0.317
S 0.118 0.474 0.039
S 0.124 0.794 0.718
S 0.519 0.770 0.137
S 0.527 0.090 0.817
S 0.619 0.973 0.539
S 0.625 0.294 0.218